1.
Here is crystalline Na2ZrMo3O12 at its relaxed geometry from Materials Project. Energies are from PBE+U.

The structure in CIF format:
```
data_Na2ZrMo3O12
_cell_length_a 16.794
_cell_length_b 11.415
_cell_length_c 5.169
_cell_angle_alpha 90.00
_cell_angle_beta 101.30
_cell_angle_gamma 90.00
_space_group_name_H-M_alt 'C 1 2/c 1'
_space_group_IT_number 15
loop_
_space_group_symop_operation_xyz
'x,y,z'
'-x,-y,-z'
'-x,y,-z+1/2'
'x,-y,z+1/2'
'x+1/2,y+1/2,z'
'-x+1/2,-y+1/2,-z'
'-x+1/2,y+1/2,-z+1/2'
'x+1/2,-y+1/2,z+1/2'
loop_
_atom_site_label
_atom_site_fract_x
_atom_site_fract_y
_atom_site_fract_z
Na1 0.159 0.128 0.374
Zr1 0.000 0.376 0.250
Mo1 0.000 0.140 0.750
Mo2 0.158 0.392 0.865
O1 0.045 0.230 0.517
O2 0.068 0.458 0.616
O3 0.078 0.053 0.930
O4 0.105 0.314 0.094
O5 0.214 0.286 0.736
O6 0.225 0.487 0.079
```

Output
uncorrected energy = -0.25970 Ha/atom
spin magnetization = 0.00 μB/cell
volume = 971.58 Å³ per cell
energy relative to the elements = -2.330 eV per atom


2.
Here is crystalline MgFe8O8F8 at its relaxed geometry from Materials Project. Energies are from PBE+U.

The structure in CIF format:
```
data_MgFe8O8F8
_cell_length_a 9.789
_cell_length_b 3.072
_cell_length_c 9.878
_cell_angle_alpha 90.00
_cell_angle_beta 95.51
_cell_angle_gamma 90.00
_space_group_name_H-M_alt 'P 1 m 1'
_space_group_IT_number 6
loop_
_space_group_symop_operation_xyz
'x,y,z'
'x,-y,z'
loop_
_atom_site_label
_atom_site_fract_x
_atom_site_fract_y
_atom_site_fract_z
Mg1 0.000 0.000 0.000
Fe1 0.030 0.500 0.480
Fe2 0.032 0.500 0.743
Fe3 0.265 0.000 0.227
Fe4 0.288 0.000 0.720
Fe5 0.529 0.500 0.999
Fe6 0.556 0.500 0.502
Fe7 0.729 0.000 0.256
Fe8 0.739 0.000 0.785
O1 0.118 0.000 0.844
O2 0.182 0.500 0.614
O3 0.615 0.000 0.922
O4 0.628 0.000 0.414
O5 0.636 0.500 0.172
O6 0.671 0.500 0.674
O7 0.881 0.500 0.867
O8 0.956 0.000 0.592
F1 0.109 0.000 0.361
F2 0.128 0.500 0.107
F3 0.367 0.500 0.336
F4 0.384 0.500 0.842
F5 0.398 0.000 0.079
F6 0.436 0.000 0.578
F7 0.858 0.500 0.354
F8 0.879 0.000 0.136
```

Output
uncorrected energy = -0.22032 Ha/atom
spin magnetization = 0.00 μB/cell
volume = 295.65 Å³ per cell
energy relative to the elements = -2.114 eV per atom


3.
Here is crystalline NaFeO3 at its relaxed geometry from Materials Project. Energies are from PBE+U.

The structure in CIF format:
```
data_NaFeO3
_cell_length_a 3.830
_cell_length_b 3.830
_cell_length_c 3.830
_cell_angle_alpha 90.00
_cell_angle_beta 90.00
_cell_angle_gamma 90.00
_space_group_name_H-M_alt 'P m -3 m'
_space_group_IT_number 221
_space_group_name_Hall '-P 4 2 3'
loop_
_atom_site_label
_atom_site_fract_x
_atom_site_fract_y
_atom_site_fract_z
Na1 0.000 0.000 0.000
Fe1 0.500 0.500 0.500
O1 0.000 0.500 0.500
```

Output
uncorrected energy = -0.19699 Ha/atom
spin magnetization = 4.81 μB/cell
volume = 56.20 Å³ per cell
energy relative to the elements = -1.297 eV per atom